{
  "formula": "Li3SbS4",
  "functional": "PBE-GGA",
  "state": "optimized geometry",
  "e_above_lowest_polymorph_mev_per_atom": 60,
  "formation_enthalpy_0k_ev_per_atom": -1.040,
  "mass_density_g_cm3": 2.61,
  "piezo_max_c_m2": 0.82,
  "energy_corrected_mp2020_ev_per_atom": -4.34,
  "lattice": [[6.213, -4.004, 0.000], [6.213, 4.004, 0.000], [-0.025, 0.000, 6.919]],
  "species": ["Li", "Li", "Li", "Li", "Li", "Li", "Sb", "Sb", "S", "S", "S", "S", "S", "S", "S", "S"],
  "fractional_positions": [[0.099, 0.901, 0.500], [0.306, 0.557, 0.260], [0.552, 0.786, 0.705], [0.557, 0.306, 0.760], [0.786, 0.552, 0.205], [0.901, 0.099, 0.000], [0.080, 0.390, 0.676], [0.390, 0.080, 0.176], [0.202, 0.853, 0.838], [0.246, 0.562, 0.904], [0.456, 0.777, 0.355], [0.562, 0.246, 0.404], [0.641, 0.993, 0.931], [0.777, 0.456, 0.855], [0.853, 0.202, 0.338], [0.993, 0.641, 0.431]]
}